! PBE Nb2C, optimized geometry; values from VASP
&SYSTEM
  ibrav = 0, nat = 12, ntyp = 2
/
ATOMIC_SPECIES
Nb 92.91 Nb.upf
C 12.01 C.upf
CELL_PARAMETERS angstrom
3.107 0.000 0.000
0.000 5.000 0.000
0.000 0.000 11.023
ATOMIC_POSITIONS angstrom
Nb 2.330 3.829 8.782
Nb 0.777 1.170 2.242
C 2.330 0.045 6.888
Nb 0.777 3.769 6.014
Nb 2.330 3.670 3.270
C 0.777 2.545 9.647
Nb 2.330 1.230 5.009
Nb 0.777 3.730 0.502
Nb 2.330 1.270 10.521
C 0.777 4.954 4.135
C 2.330 2.454 1.376
Nb 0.777 1.329 7.753
! calculated formation energy = -0.47 eV/atom
! energy = -10.28 eV/atom
! crystal system = orthorhombic

---

! PBE Ba2NaMgReO6, optimized geometry; values from VASP
&SYSTEM
  ibrav = 0, nat = 11, ntyp = 5
/
ATOMIC_SPECIES
O 16.00 O.upf
Mg 24.30 Mg.upf
Re 186.21 Re.upf
Na 22.99 Na.upf
Ba 137.33 Ba.upf
CELL_PARAMETERS angstrom
-5.438 3.665 -0.646
-6.157 -1.712 1.606
-2.179 2.356 4.929
ATOMIC_POSITIONS angstrom
O -6.558 0.270 2.356
O -8.706 2.076 2.178
Mg -1.090 1.178 2.465
Re -6.887 2.154 2.945
Na 0.000 0.000 0.000
O -7.216 4.038 3.533
Ba -9.683 3.259 4.690
O -5.069 2.232 3.711
O -7.573 1.368 4.652
O -6.201 2.941 1.237
Ba -4.092 1.049 1.199
! calculated formation energy = -2.39 eV/atom
! energy = -6.46 eV/atom
! crystal system = orthorhombic

---

! PBE InCuTe2, optimized geometry; values from VASP
&SYSTEM
  ibrav = 0, nat = 4, ntyp = 3
/
ATOMIC_SPECIES
Te 127.60 Te.upf
In 114.82 In.upf
Cu 63.55 Cu.upf
CELL_PARAMETERS angstrom
4.199 0.000 0.000
0.000 4.199 0.000
0.000 0.000 5.871
ATOMIC_POSITIONS angstrom
Te 2.100 2.100 0.000
In 2.100 2.100 2.935
Cu 0.000 0.000 0.000
Te 0.000 0.000 2.935
! calculated formation energy = -0.25 eV/atom
! energy = -3.32 eV/atom
! crystal system = tetragonal

---

! PBE K6Be4C6O19, optimized geometry; values from VASP
&SYSTEM
  ibrav = 0, nat = 70, ntyp = 4
/
ATOMIC_SPECIES
O 16.00 O.upf
C 12.01 C.upf
K 39.10 K.upf
Be 9.01 Be.upf
CELL_PARAMETERS angstrom
7.095 -7.195 0.000
7.095 7.195 0.000
-0.201 0.000 10.102
ATOMIC_POSITIONS angstrom
O 9.520 1.004 9.954
C 10.878 1.477 0.263
K 9.078 -4.681 8.285
O 10.475 0.000 7.565
O 10.600 -1.655 5.327
O 12.000 -1.429 9.346
O 5.800 -1.535 2.339
O 8.103 -0.808 8.784
O 3.388 1.655 4.776
O 0.780 -0.237 2.429
K 5.640 0.830 8.676
O 11.759 1.192 9.679
O 3.674 0.972 6.897
O 11.203 -2.663 7.624
O 8.727 -2.066 7.018
O 1.767 -1.659 3.888
O 6.800 -2.494 8.071
Be 4.829 -0.409 1.629
C 3.595 0.708 5.661
C 9.265 -4.592 1.317
C 6.221 -6.069 6.712
C 6.136 1.798 2.143
K 7.935 3.554 9.867
O 7.786 3.466 6.706
C 7.853 -1.798 7.959
C 8.570 2.505 6.966
O 10.284 0.531 4.862
O 2.229 -1.192 0.423
K 6.053 -3.554 0.235
O 7.188 2.494 2.031
Be 3.298 -1.100 3.748
O 8.188 1.535 7.763
K 8.496 -3.647 4.721
O 3.513 0.000 2.537
O 5.261 2.066 3.085
C 3.110 -1.477 9.839
K 1.306 -1.127 6.808
K 4.650 -2.816 6.546
K 12.682 1.127 3.294
Be 9.160 0.409 8.473
O 4.468 -1.004 0.148
K 5.492 3.647 5.381
Be 3.713 1.509 3.174
C 10.393 -0.708 4.442
K 4.910 4.681 1.818
C 5.418 -2.505 3.137
O 6.202 -3.466 3.396
O 12.221 1.659 6.214
O 1.988 1.429 0.756
Be 10.690 1.100 6.354
Be 10.275 -1.509 6.928
O 7.364 -5.743 6.259
O 3.043 -2.211 8.803
O 13.208 0.237 7.673
O 3.704 -0.531 5.240
O 2.785 2.663 2.478
Be 2.140 0.000 1.546
O 10.314 -0.972 3.205
O 8.867 -3.532 0.739
O 4.207 -2.462 3.642
O 6.624 5.743 3.844
K 9.338 2.816 3.556
O 5.885 0.808 1.319
K 8.348 -0.830 1.426
C 7.767 6.069 3.391
C 4.723 4.592 8.786
O 9.781 2.462 6.460
O 10.945 2.211 1.299
Be 11.848 0.000 8.556
O 5.121 3.532 9.364
! calculated formation energy = -2.33 eV/atom
! energy = -6.84 eV/atom
! crystal system = trigonal

---

! PBE Ba2As2O7, optimized geometry; values from VASP
&SYSTEM
  ibrav = 0, nat = 44, ntyp = 3
/
ATOMIC_SPECIES
As 74.92 As.upf
O 16.00 O.upf
Ba 137.33 Ba.upf
CELL_PARAMETERS angstrom
-7.565 0.000 0.000
-0.045 -7.570 0.000
1.582 0.732 13.492
ATOMIC_POSITIONS angstrom
As -1.362 -6.322 1.167
O -3.721 -1.616 11.408
O -2.234 -4.905 7.276
Ba -1.980 -2.422 1.863
Ba -4.843 -6.797 2.109
As -0.121 -3.712 12.033
O -3.307 -6.428 9.458
O -0.805 -2.370 12.805
As -0.598 -0.978 7.956
O 0.670 -2.020 7.465
O -4.610 -4.096 8.724
O -2.307 -5.222 2.083
O -4.313 -5.036 4.551
O -6.904 -2.191 0.253
O -1.406 -0.413 6.423
As -5.907 -3.127 1.458
As -4.666 -0.516 12.325
Ba -4.516 -1.306 8.788
O -0.029 -6.918 2.020
O -2.721 -0.411 4.033
O -6.698 -4.818 6.026
O -3.677 -6.850 12.912
O 0.049 0.394 8.723
Ba -1.512 -5.533 4.704
O -7.114 -3.507 2.603
Ba 0.069 -4.484 8.606
As -5.430 -5.861 5.535
O -4.622 -6.426 7.068
O -2.351 0.012 0.579
Ba -6.097 -2.355 4.885
O 0.876 -4.647 13.239
Ba -1.185 -0.042 11.382
O -6.077 -7.232 4.768
O -5.999 0.080 11.471
O -5.223 -4.468 0.687
O -1.257 -4.778 11.310
As -3.600 -5.355 8.161
O -1.715 -1.802 8.941
O 1.086 -3.331 10.889
O -4.771 -2.060 2.181
O -3.794 -1.934 6.216
O -1.418 -2.743 4.767
As -2.428 -1.483 5.330
Ba -4.048 -4.417 11.629
! calculated formation energy = -2.51 eV/atom
! energy = -6.42 eV/atom
! crystal system = triclinic

---

! PBE Zr2Al2SiS5O24, optimized geometry; values from VASP
&SYSTEM
  ibrav = 0, nat = 102, ntyp = 5
/
ATOMIC_SPECIES
Si 28.09 Si.upf
O 16.00 O.upf
S 32.06 S.upf
Zr 91.22 Zr.upf
Al 26.98 Al.upf
CELL_PARAMETERS angstrom
-0.977 1.839 8.411
-5.224 -5.795 -3.821
14.429 -16.415 5.318
ATOMIC_POSITIONS angstrom
Si -0.963 -2.556 2.572
O -1.058 -8.566 0.670
O 6.030 -12.258 6.863
O -4.037 -5.457 1.228
O -2.313 -4.671 -0.991
S 9.040 -17.690 7.602
S 2.340 -10.662 -0.032
O 2.885 -11.502 1.056
O 8.272 -14.756 4.928
O 7.189 -13.795 8.990
O -1.457 -3.539 6.109
S 4.664 -11.973 6.388
S -0.781 -6.842 4.735
O 1.169 -6.617 0.773
O 2.534 -4.163 9.020
O 8.263 -9.552 4.799
O 2.160 -4.105 4.618
O 12.097 -14.994 8.550
O -1.767 -1.250 3.021
O 4.177 -9.696 3.176
O 7.872 -18.106 8.413
S 7.823 -19.932 3.973
O 6.509 -16.069 9.404
Zr 0.598 -8.353 1.937
O 1.933 -11.604 3.909
O 10.503 -13.844 5.373
O 6.785 -8.950 10.715
Al 7.537 -12.065 8.074
O 6.183 -16.479 5.292
O 1.746 -4.350 0.409
O -0.352 -7.125 3.337
O 7.353 -16.256 2.797
O 0.043 -5.738 5.262
O 9.693 -18.948 7.102
S 1.173 -3.910 8.509
S -2.861 -3.108 6.021
O -3.132 -1.935 5.187
Zr 1.936 -2.285 0.757
Si 5.803 -9.912 9.822
O 0.604 -1.900 5.601
O 7.539 -18.510 4.314
O 6.623 -11.142 9.226
O -3.703 -4.215 5.497
O 2.374 -8.065 3.028
O -0.328 -3.517 3.681
O 8.768 -12.468 4.417
S 11.206 -17.055 3.747
Si 0.363 -11.164 3.962
S 5.016 -16.897 6.100
O 1.105 -4.133 7.052
O -2.468 -8.602 -1.191
O 8.613 -13.156 6.739
Al 7.060 -19.764 0.724
S 0.201 -0.500 5.776
O -0.602 -8.020 5.604
O 4.662 -7.365 2.831
Zr 8.338 -8.835 11.804
Al 4.113 -3.957 10.255
O 7.684 -20.159 2.513
S 3.246 -3.663 3.736
S 9.040 -13.576 5.383
O 9.748 -16.781 3.751
O 3.775 -8.098 4.940
O 11.974 -15.876 4.202
O 6.425 -8.840 6.070
O 4.648 -6.507 7.104
Zr -3.441 -3.576 0.421
O 2.433 -8.409 7.454
O 9.987 -16.910 8.431
O 3.436 -13.964 2.891
O 5.539 -12.205 2.339
O 3.689 -12.828 7.105
O 11.473 -18.174 4.714
O -0.118 -10.706 5.392
Zr 4.501 -8.422 6.968
O 10.647 -11.891 11.114
O 0.221 -2.037 1.547
S 7.833 -9.269 6.187
Al 7.958 -16.644 4.578
O 3.968 -4.831 3.192
S 7.214 -16.481 1.338
O 4.223 -10.593 6.576
O 10.663 -15.639 10.802
O 5.814 -16.169 0.961
Zr 3.736 -11.838 3.072
S 3.760 -8.306 3.497
O 9.294 -11.884 9.099
O -1.944 -3.478 1.603
O 0.183 -9.934 2.884
O 8.031 -10.456 7.025
O 8.629 -16.893 6.420
Al 11.728 -16.716 9.453
O 4.635 -12.308 4.947
O 1.765 -9.405 0.509
O 4.372 -15.638 6.591
O 5.212 -8.891 8.696
O -2.205 -6.475 4.634
O -1.169 -0.158 5.370
O 1.318 -11.419 -0.750
O 0.289 -0.148 7.219
O 9.225 -20.240 4.361
Al 0.301 -3.828 5.279
! calculated formation energy = -2.53 eV/atom
! energy = -7.03 eV/atom
! crystal system = triclinic

---

! PBE SmMgTiS4, optimized geometry; values from VASP
&SYSTEM
  ibrav = 0, nat = 14, ntyp = 4
/
ATOMIC_SPECIES
S 32.06 S.upf
Mg 24.30 Mg.upf
Sm 150.36 Sm.upf
Ti 47.87 Ti.upf
CELL_PARAMETERS angstrom
-6.906 2.893 2.415
-6.617 -3.246 -2.217
-4.403 -3.933 4.933
ATOMIC_POSITIONS angstrom
S -11.333 -1.447 1.362
Mg -15.676 -3.730 4.491
Sm -8.963 -2.142 2.566
Ti -12.271 -3.765 1.458
Mg -2.249 -0.555 0.641
S -13.275 -3.355 3.785
Sm -5.510 -3.589 1.359
S -6.592 -2.838 3.770
Ti -11.164 -4.109 5.033
S -10.210 -1.797 4.991
S -10.208 -4.640 2.713
S -7.717 0.355 2.419
S -4.650 -0.930 1.347
S -7.715 -2.488 0.140
! calculated formation energy = -1.82 eV/atom
! energy = -5.92 eV/atom
! crystal system = orthorhombic

---

! PBE Na3MgC2BrO6, optimized geometry; values from VASP
&SYSTEM
  ibrav = 0, nat = 52, ntyp = 5
/
ATOMIC_SPECIES
C 12.01 C.upf
O 16.00 O.upf
Na 22.99 Na.upf
Mg 24.30 Mg.upf
Br 79.90 Br.upf
CELL_PARAMETERS angstrom
3.943 -9.034 -2.584
-3.298 -8.492 4.566
-5.632 -6.719 -5.194
ATOMIC_POSITIONS angstrom
C -7.039 -16.295 -1.277
O -1.324 -16.322 -5.234
O -2.065 -8.376 0.145
O -0.468 -8.495 -1.431
Na -0.650 -16.702 -2.878
Na -5.247 -15.590 -4.132
O -3.668 -12.504 2.365
O -5.765 -21.812 -2.583
Na -3.354 -19.928 -5.372
O -4.910 -13.986 1.220
Mg 1.348 -7.548 -1.693
Br -3.117 -15.154 -2.007
C -1.701 -8.270 -1.095
Mg -3.439 -6.391 -2.998
O -6.955 -15.548 -2.334
Mg -2.272 -7.277 1.882
O -3.435 -15.812 -5.810
C -4.533 -22.037 -2.919
Na -2.233 -20.779 -0.686
O -6.044 -13.124 -3.525
O -2.566 -17.803 -6.379
C -0.953 -17.766 0.382
O -6.441 -15.939 -0.182
Na -0.987 -14.718 0.117
Na -6.831 -19.668 -1.939
Br -5.088 -10.637 -0.715
O -1.786 -17.064 1.087
O 0.721 -14.760 -1.681
O -0.190 -17.184 -0.490
C -5.281 -12.541 -4.397
O -4.169 -21.932 -4.160
O -2.799 -14.496 1.795
O 1.448 -12.888 -2.687
O -2.579 -7.985 -2.006
C -2.436 -16.640 -5.821
Na -4.127 -16.441 0.555
Mg -0.623 -3.031 -0.401
Na -5.584 -13.606 -1.136
O 0.207 -14.369 -3.832
O -7.682 -17.420 -1.327
O -4.448 -13.243 -5.101
Br -1.468 -10.908 -4.290
Na -4.000 -9.528 -3.329
O -3.655 -22.323 -2.008
O -0.917 -19.056 0.517
Br -0.301 -11.794 0.590
O -5.317 -11.252 -4.531
Na 0.597 -10.640 -2.075
C 0.805 -14.013 -2.738
Na -2.880 -10.380 1.358
C -3.797 -13.668 1.807
Na -2.107 -13.867 -4.569
! calculated formation energy = -2.16 eV/atom
! energy = -6.10 eV/atom
! crystal system = cubic

---

! PBE Mn4CdS5, optimized geometry; values from VASP
&SYSTEM
  ibrav = 0, nat = 10, ntyp = 3
/
ATOMIC_SPECIES
Mn 54.94 Mn.upf
S 32.06 S.upf
Cd 112.41 Cd.upf
CELL_PARAMETERS angstrom
2.137 -6.016 -1.061
-5.046 2.255 3.367
-1.925 1.532 -5.986
ATOMIC_POSITIONS angstrom
Mn -3.570 -0.284 1.087
S -1.455 -1.881 1.153
S -0.043 -4.374 -1.133
S -4.792 2.145 -2.547
Mn -1.265 -1.944 -4.768
Mn -2.104 -2.840 -1.231
S -4.169 -1.238 -1.225
S -0.665 -0.990 -2.455
Mn -2.731 0.611 -2.449
Cd 0.000 0.000 0.000
! calculated formation energy = -0.71 eV/atom
! energy above the most stable polymorph in this dataset = 17.1 meV/atom
! energy = -6.28 eV/atom
! crystal system = tetragonal

---

! PBE LaMoN3, optimized geometry; values from VASP
&SYSTEM
  ibrav = 0, nat = 10, ntyp = 3
/
ATOMIC_SPECIES
Mo 95.94 Mo.upf
La 138.91 La.upf
N 14.01 N.upf
CELL_PARAMETERS angstrom
-4.927 -2.888 -0.583
-1.176 -2.735 -4.908
0.025 -5.738 -0.181
ATOMIC_POSITIONS angstrom
Mo -6.008 -11.230 -5.607
La -4.496 -8.404 -4.196
N -2.479 -4.195 -3.968
Mo -2.969 -5.549 -2.771
N -1.372 -5.851 -1.839
La -1.457 -2.723 -1.360
N -3.764 -7.473 -1.849
N -2.243 -7.055 -4.316
N -4.874 -5.811 -3.989
N -3.991 -4.613 -1.511
! calculated formation energy = -1.09 eV/atom
! energy = -9.03 eV/atom
! crystal system = trigonal

---

! PBE ZnH8C2S2N6, optimized geometry; values from VASP
&SYSTEM
  ibrav = 0, nat = 38, ntyp = 5
/
ATOMIC_SPECIES
N 14.01 N.upf
H 1.01 H.upf
S 32.06 S.upf
C 12.01 C.upf
Zn 65.41 Zn.upf
CELL_PARAMETERS angstrom
15.320 0.000 0.000
0.000 4.266 0.000
0.000 1.880 7.044
ATOMIC_POSITIONS angstrom
N 1.055 5.572 5.280
N 9.216 3.742 3.112
H 9.556 2.275 1.749
S 4.596 5.755 6.988
C 13.412 0.884 2.535
S 10.724 0.392 0.056
N 8.773 2.612 2.325
N 13.765 4.682 6.634
H 8.068 2.986 1.679
H 1.895 3.716 6.562
H 5.765 2.776 3.040
S 12.256 1.332 3.579
N 1.556 1.465 0.410
N 14.265 0.575 1.764
H 5.764 3.872 5.295
Zn 0.000 0.000 0.000
H 12.968 5.143 6.171
H 10.012 4.203 2.649
N 8.715 1.515 5.286
H 5.308 1.944 4.395
H 0.408 2.220 1.843
H 2.352 1.004 0.873
Zn 7.660 0.940 3.522
N 6.547 3.534 4.719
H 1.896 2.932 1.773
N 6.105 2.405 3.932
N 6.605 4.632 1.758
S 3.064 4.814 3.466
H 7.252 3.160 5.365
H 13.425 2.431 0.482
C 9.569 1.824 6.057
N 1.113 2.594 1.197
C 1.909 5.262 4.510
H 9.555 3.371 4.004
C 5.752 4.322 0.988
N 14.207 3.553 5.847
H 14.912 3.927 5.202
H 13.424 3.215 5.271
! calculated formation energy = -0.25 eV/atom
! energy = -5.62 eV/atom
! crystal system = monoclinic